[1]
Eu2HgBi | PBE | relaxed

Output
energy of formation	-715	meV per atom
VASP energy	-0.2533	hartree per atom

Unit cell a=7.971 b=7.971 c=7.971 alpha=90.00 beta=90.00 gamma=90.00
Space group Fm-3m (No. 225)
Unique sites:
1 Eu 0.250 0.250 0.250 [8 per cell]
2 Hg 0.000 0.000 0.000 [4 per cell]
3 Bi 0.000 0.000 0.500 [4 per cell]

[2]
Na7Ca4P3S3O24 | PBE | relaxed

Output
MP2020-corrected energy	-822.0	eV/cell
energy of formation	-2666	meV per atom
VASP energy	-0.2308	hartree per atom

Unit cell a=9.476 b=9.479 c=22.711 alpha=89.92 beta=89.98 gamma=60.08
Space group P1 (No. 1)
Unique sites:
1 Na 0.000 0.000 0.000 [1 per cell]
2 Na 0.001 0.729 0.427 [1 per cell]
3 Na 0.006 0.359 0.521 [1 per cell]
4 Na 0.039 0.689 0.926 [1 per cell]
5 Na 0.041 0.041 0.675 [1 per cell]
6 Na 0.060 0.974 0.352 [1 per cell]
7 Na 0.073 0.330 0.832 [1 per cell]
8 Na 0.320 0.708 0.852 [1 per cell]
9 Na 0.350 0.664 0.498 [1 per cell]
10 Na 0.355 0.021 0.761 [1 per cell]
11 Na 0.356 0.349 0.342 [1 per cell]
12 Na 0.373 0.004 0.260 [1 per cell]
13 Na 0.376 0.322 0.686 [1 per cell]
14 Na 0.384 0.372 0.005 [1 per cell]
15 Na 0.392 0.687 0.176 [1 per cell]
16 Na 0.667 0.028 0.180 [1 per cell]
17 Na 0.682 0.720 0.333 [1 per cell]
18 Na 0.692 0.006 0.849 [1 per cell]
19 Na 0.703 0.361 0.093 [1 per cell]
20 Na 0.704 0.672 0.019 [1 per cell]
21 Na 0.724 0.333 0.593 [1 per cell]
22 Ca 0.016 0.684 0.578 [1 per cell]
23 Ca 0.021 0.678 0.772 [1 per cell]
24 Ca 0.023 0.677 0.079 [1 per cell]
25 Ca 0.026 0.674 0.272 [1 per cell]
26 Ca 0.364 0.012 0.913 [1 per cell]
27 Ca 0.364 0.013 0.107 [1 per cell]
28 Ca 0.369 0.009 0.413 [1 per cell]
29 Ca 0.371 0.007 0.607 [1 per cell]
30 Ca 0.696 0.334 0.441 [1 per cell]
31 Ca 0.696 0.343 0.939 [1 per cell]
32 Ca 0.700 0.347 0.245 [1 per cell]
33 Ca 0.701 0.349 0.744 [1 per cell]
34 P 0.010 0.032 0.842 [1 per cell]
35 P 0.035 0.361 0.674 [1 per cell]
36 P 0.056 0.012 0.510 [1 per cell]
37 P 0.362 0.699 0.010 [1 per cell]
38 P 0.383 0.347 0.840 [1 per cell]
39 P 0.384 0.657 0.344 [1 per cell]
40 P 0.676 0.013 0.009 [1 per cell]
41 P 0.695 0.036 0.336 [1 per cell]
42 P 0.710 0.682 0.175 [1 per cell]
43 S 0.006 0.345 0.347 [1 per cell]
44 S 0.030 0.986 0.175 [1 per cell]
45 S 0.053 0.323 0.006 [1 per cell]
46 S 0.334 0.678 0.675 [1 per cell]
47 S 0.345 0.367 0.176 [1 per cell]
48 S 0.357 0.330 0.510 [1 per cell]
49 S 0.675 0.695 0.506 [1 per cell]
50 S 0.696 0.657 0.846 [1 per cell]
51 S 0.716 0.997 0.680 [1 per cell]
52 O 0.022 0.899 0.122 [1 per cell]
53 O 0.023 0.493 0.341 [1 per cell]
54 O 0.024 0.861 0.842 [1 per cell]
55 O 0.036 0.453 0.618 [1 per cell]
56 O 0.038 0.454 0.730 [1 per cell]
57 O 0.039 0.486 0.011 [1 per cell]
58 O 0.040 0.856 0.511 [1 per cell]
59 O 0.043 0.889 0.229 [1 per cell]
60 O 0.138 0.248 0.950 [1 per cell]
61 O 0.145 0.217 0.056 [1 per cell]
62 O 0.151 0.019 0.565 [1 per cell]
63 O 0.155 0.000 0.454 [1 per cell]
64 O 0.174 0.201 0.347 [1 per cell]
65 O 0.176 0.005 0.174 [1 per cell]
66 O 0.185 0.008 0.842 [1 per cell]
67 O 0.195 0.190 0.678 [1 per cell]
68 O 0.201 0.490 0.509 [1 per cell]
69 O 0.208 0.498 0.840 [1 per cell]
70 O 0.210 0.674 0.342 [1 per cell]
71 O 0.214 0.670 0.011 [1 per cell]
72 O 0.236 0.692 0.728 [1 per cell]
73 O 0.246 0.670 0.622 [1 per cell]
74 O 0.253 0.460 0.124 [1 per cell]
75 O 0.259 0.451 0.231 [1 per cell]
76 O 0.344 0.800 0.953 [1 per cell]
77 O 0.354 0.823 0.673 [1 per cell]
78 O 0.359 0.241 0.456 [1 per cell]
79 O 0.363 0.831 0.343 [1 per cell]
80 O 0.368 0.234 0.563 [1 per cell]
81 O 0.369 0.189 0.841 [1 per cell]
82 O 0.369 0.792 0.065 [1 per cell]
83 O 0.371 0.198 0.177 [1 per cell]
84 O 0.470 0.361 0.896 [1 per cell]
85 O 0.470 0.560 0.400 [1 per cell]
86 O 0.481 0.339 0.785 [1 per cell]
87 O 0.486 0.565 0.289 [1 per cell]
88 O 0.494 0.366 0.510 [1 per cell]
89 O 0.495 0.525 0.676 [1 per cell]
90 O 0.509 0.355 0.174 [1 per cell]
91 O 0.523 0.530 0.010 [1 per cell]
92 O 0.537 0.024 0.341 [1 per cell]
93 O 0.538 0.841 0.179 [1 per cell]
94 O 0.548 0.024 0.676 [1 per cell]
95 O 0.548 0.822 0.845 [1 per cell]
96 O 0.572 0.026 0.063 [1 per cell]
97 O 0.576 0.795 0.555 [1 per cell]
98 O 0.588 0.005 0.952 [1 per cell]
99 O 0.602 0.777 0.449 [1 per cell]
100 O 0.680 0.534 0.510 [1 per cell]
101 O 0.683 0.533 0.174 [1 per cell]
102 O 0.684 0.121 0.276 [1 per cell]
103 O 0.684 0.563 0.796 [1 per cell]
104 O 0.700 0.164 0.009 [1 per cell]
105 O 0.703 0.161 0.676 [1 per cell]
106 O 0.709 0.571 0.902 [1 per cell]
107 O 0.714 0.134 0.386 [1 per cell]
108 O 0.787 0.917 0.737 [1 per cell]
109 O 0.799 0.684 0.118 [1 per cell]
110 O 0.805 0.684 0.231 [1 per cell]
111 O 0.821 0.898 0.631 [1 per cell]
112 O 0.842 0.676 0.842 [1 per cell]
113 O 0.845 0.859 0.339 [1 per cell]
114 O 0.846 0.661 0.509 [1 per cell]
115 O 0.848 0.856 0.010 [1 per cell]
116 O 0.879 0.148 0.176 [1 per cell]
117 O 0.885 0.347 0.008 [1 per cell]
118 O 0.887 0.332 0.672 [1 per cell]
119 O 0.888 0.171 0.511 [1 per cell]
120 O 0.915 0.118 0.899 [1 per cell]
121 O 0.917 0.361 0.402 [1 per cell]
122 O 0.918 0.327 0.296 [1 per cell]
123 O 0.920 0.136 0.788 [1 per cell]

[3]
Rb2LiRuF6 | PBE | relaxed

Output
MP2020-corrected energy	-204.0	eV/cell
energy of formation	-2636	meV per atom
VASP energy	-0.1772	hartree per atom

Unit cell a=8.408 b=8.408 c=8.408 alpha=90.00 beta=90.00 gamma=90.00
Space group Fm-3m (No. 225)
Unique sites:
1 Rb 0.250 0.250 0.250 [8 per cell]
2 Li 0.000 0.000 0.000 [4 per cell]
3 Ru 0.000 0.000 0.500 [4 per cell]
4 F 0.000 0.000 0.257 [24 per cell]

[4]
CaH12S2O9 | PBE | relaxed

Output
MP2020-corrected energy	-261.1	eV/cell
energy of formation	-1458	meV per atom
VASP energy	-0.1904	hartree per atom

Unit cell a=5.816 b=7.485 c=11.356 alpha=72.09 beta=81.99 gamma=86.88
Space group P-1 (No. 2)
Unique sites:
1 Ca 0.085 0.392 0.265 [2 per cell]
2 H 0.017 0.227 0.898 [2 per cell]
3 H 0.031 0.033 0.615 [2 per cell]
4 H 0.086 0.332 0.545 [2 per cell]
5 H 0.142 0.965 0.740 [2 per cell]
6 H 0.165 0.717 0.473 [2 per cell]
7 H 0.184 0.656 0.934 [2 per cell]
8 H 0.255 0.774 0.105 [2 per cell]
9 H 0.296 0.378 0.004 [2 per cell]
10 H 0.355 0.185 0.103 [2 per cell]
11 H 0.359 0.652 0.815 [2 per cell]
12 H 0.438 0.065 0.355 [2 per cell]
13 H 0.464 0.225 0.414 [2 per cell]
14 S 0.385 0.106 0.853 [2 per cell]
15 S 0.450 0.300 0.682 [2 per cell]
16 O 0.002 0.267 0.500 [2 per cell]
17 O 0.040 0.925 0.691 [2 per cell]
18 O 0.129 0.704 0.089 [2 per cell]
19 O 0.219 0.591 0.869 [2 per cell]
20 O 0.233 0.412 0.654 [2 per cell]
21 O 0.305 0.315 0.093 [2 per cell]
22 O 0.358 0.578 0.317 [2 per cell]
23 O 0.431 0.202 0.337 [2 per cell]
24 O 0.480 0.800 0.413 [2 per cell]